No. 1
VASP calculation (meta-GGA r2SCAN) on crystalline Mg at its relaxed geometry.

Unit cell a=3.1854 b=3.1854 c=23.0996 alpha=90.00 beta=90.00 gamma=120.00
Sites, in units of the cell vectors:
Mg: 0.0000 0.0000 0.0000
Mg: 0.0000 0.0000 0.2219
Mg: 0.6667 0.3333 0.1114
Mg: 0.6667 0.3333 0.3333
Mg: 0.6667 0.3333 0.5553
Mg: 0.3333 0.6667 0.4447
Mg: 0.3333 0.6667 0.6667
Mg: 0.3333 0.6667 0.8886
Mg: 0.0000 0.0000 0.7781

Properties
formation enthalpy at 0 K = 1 kJ/mol of atoms
total DFT energy (no corrections) = -4.158 eV per formula unit


No. 2
VASP calculation (meta-GGA r2SCAN) on crystalline Li9Ge4 at its relaxed geometry.

Unit cell a=4.4291 b=4.4291 c=23.5313 alpha=90.00 beta=90.00 gamma=120.33
Sites, in units of the cell vectors:
Li: 0.8464 0.1536 0.2500
Li: 0.1536 0.8464 0.7500
Li: 0.1632 0.8368 0.5171
Li: 0.8368 0.1632 0.4829
Li: 0.8368 0.1632 0.0171
Li: 0.1632 0.8368 0.9829
Li: 0.1533 0.8467 0.6316
Li: 0.8467 0.1533 0.3684
Li: 0.8238 0.1762 0.5934
Li: 0.1762 0.8238 0.4066
Li: 0.1762 0.8238 0.0934
Li: 0.8238 0.1762 0.9066
Li: 0.4873 0.5127 0.8236
Li: 0.5127 0.4873 0.1764
Li: 0.5127 0.4873 0.3236
Li: 0.4873 0.5127 0.6764
Li: 0.1533 0.8467 0.8684
Li: 0.8467 0.1533 0.1316
Ge: 0.4945 0.5055 0.5541
Ge: 0.5055 0.4945 0.4459
Ge: 0.5055 0.4945 0.0541
Ge: 0.4945 0.5055 0.9459
Ge: 0.8204 0.1796 0.6993
Ge: 0.1796 0.8204 0.3007
Ge: 0.1796 0.8204 0.1993
Ge: 0.8204 0.1796 0.8007

Properties
formation enthalpy at 0 K = -38 kJ/mol of atoms
total DFT energy (no corrections) = -82.088 eV per formula unit


No. 3
VASP calculation (meta-GGA r2SCAN) on crystalline NaAg2 at its relaxed geometry.

Unit cell a=5.5951 b=5.5951 c=5.5951 alpha=60.00 beta=60.00 gamma=60.00
Sites, in units of the cell vectors:
Na: 0.1250 0.1250 0.1250
Na: 0.8750 0.8750 0.8750
Ag: 0.0000 0.5000 0.5000
Ag: 0.5000 0.0000 0.5000
Ag: 0.5000 0.5000 0.0000
Ag: 0.5000 0.5000 0.5000

Properties
formation enthalpy at 0 K = -8 kJ/mol of atoms
total DFT energy (no corrections) = -46.512 eV per formula unit